1.
A geometry-optimized Zn3P2O12 structure. Source: the Materials Project, functional PBE.

Values from the calculation:
Formation energy from the elements: -20.84 eV/f.u.

a = 5.1518 Å, b = 10.8633 Å, c = 18.2901 Å
α = 90.00°, β = 90.00°, γ = 90.00°
Element x y z (fractional)
Zn1 0.0351 0.8314 0.2500
Zn2 0.4649 0.3314 0.2500
Zn3 0.9649 0.1686 0.7500
Zn4 0.5351 0.6686 0.7500
Zn5 0.2063 0.6439 0.0047
Zn6 0.2937 0.1439 0.4953
Zn7 0.7937 0.3561 0.5047
Zn8 0.7063 0.8561 0.9953
Zn9 0.7937 0.3561 0.9953
Zn10 0.7063 0.8561 0.5047
Zn11 0.2063 0.6439 0.4953
Zn12 0.2937 0.1439 0.0047
P1 0.2195 0.8963 0.0908
P2 0.2805 0.3963 0.4092
P3 0.7805 0.1037 0.5908
P4 0.7195 0.6037 0.9092
P5 0.7805 0.1037 0.9092
P6 0.7195 0.6037 0.5908
P7 0.2195 0.8963 0.4092
P8 0.2805 0.3963 0.0908
O1 0.3575 0.8069 0.0348
O2 0.1425 0.3069 0.4652
O3 0.6425 0.1931 0.5348
O4 0.8575 0.6931 0.9652
O5 0.6425 0.1931 0.9652
O6 0.8575 0.6931 0.5348
O7 0.3575 0.8069 0.4652
O8 0.1425 0.3069 0.0348
O9 0.3410 0.0247 0.0821
O10 0.1590 0.5247 0.4179
O11 0.6590 0.9753 0.5821
O12 0.8410 0.4753 0.9179
O13 0.6590 0.9753 0.9179
O14 0.8410 0.4753 0.5821
O15 0.3410 0.0247 0.4179
O16 0.1590 0.5247 0.0821
O17 0.2682 0.8447 0.1687
O18 0.2318 0.3447 0.3313
O19 0.7318 0.1553 0.6687
O20 0.7682 0.6553 0.8313
O21 0.7318 0.1553 0.8313
O22 0.7682 0.6553 0.6687
O23 0.2682 0.8447 0.3313
O24 0.2318 0.3447 0.1687
O25 0.9250 0.8958 0.0777
O26 0.5750 0.3958 0.4223
O27 0.0750 0.1042 0.5777
O28 0.4250 0.6042 0.9223
O29 0.0750 0.1042 0.9223
O30 0.4250 0.6042 0.5777
O31 0.9250 0.8958 0.4223
O32 0.5750 0.3958 0.0777
O33 0.7676 0.6672 0.1902
O34 0.7324 0.1672 0.3098
O35 0.2324 0.3328 0.6902
O36 0.2676 0.8328 0.8098
O37 0.2324 0.3328 0.8098
O38 0.2676 0.8328 0.6902
O39 0.7676 0.6672 0.3098
O40 0.7324 0.1672 0.1902
O41 0.6928 0.9008 0.2500
O42 0.8072 0.4008 0.2500
O43 0.3072 0.0992 0.7500
O44 0.1928 0.5992 0.7500
O45 0.6640 0.6271 0.2500
O46 0.8360 0.1271 0.2500
O47 0.3360 0.3729 0.7500
O48 0.1640 0.8729 0.7500


2.
A geometry-optimized CeCuSi2Pd structure. Source: the Materials Project, functional PBE.

Values from the calculation:
Formation energy from the elements: -3.75 eV/f.u.

a = 5.8171 Å, b = 5.8171 Å, c = 5.8171 Å
α = 138.64°, β = 138.64°, γ = 59.93°
Element x y z (fractional)
Ce1 0.0000 0.0000 0.0000
Cu1 0.2500 0.7500 0.5000
Si1 0.6173 0.6173 0.0000
Si2 0.3827 0.3827 0.0000
Pd1 0.7500 0.2500 0.5000


3.
A geometry-optimized Ba4Cl6O structure. Source: the Materials Project, functional PBE.

Values from the calculation:
Formation energy from the elements: -29.24 eV/f.u.
E (MP2020): -4.81 eV/atom
Largest piezoelectric modulus: 0.23 C/m²

a = 10.1275 Å, b = 10.1275 Å, c = 7.6991 Å
α = 90.00°, β = 90.00°, γ = 120.00°
Element x y z (fractional)
Ba1 0.6667 0.3333 0.9303
Ba2 0.3333 0.6667 0.4303
Ba3 0.8044 0.6088 0.4955
Ba4 0.1956 0.8044 0.9955
Ba5 0.6088 0.8044 0.9955
Ba6 0.3912 0.1956 0.4955
Ba7 0.8044 0.1956 0.4955
Ba8 0.1956 0.3912 0.9955
Cl1 0.5313 0.4687 0.2121
Cl2 0.0627 0.5313 0.7121
Cl3 0.4687 0.9373 0.7121
Cl4 0.5313 0.0627 0.2121
Cl5 0.9373 0.4687 0.2121
Cl6 0.4687 0.5313 0.7121
Cl7 0.1455 0.2910 0.3911
Cl8 0.8545 0.1455 0.8911
Cl9 0.2910 0.1455 0.8911
Cl10 0.7090 0.8545 0.3911
Cl11 0.1455 0.8545 0.3911
Cl12 0.8545 0.7090 0.8911
O1 0.6667 0.3333 0.5987
O2 0.3333 0.6667 0.0987


4.
A geometry-optimized Ca2GaSi2O7 structure. Source: the Materials Project, functional PBE.

Values from the calculation:
Formation energy from the elements: -36.24 eV/f.u.
E (MP2020): -7.40 eV/atom

a = 8.0292 Å, b = 8.0292 Å, c = 5.0545 Å
α = 90.00°, β = 90.00°, γ = 90.00°
Element x y z (fractional)
Ca1 0.1662 0.3338 0.5055
Ca2 0.8338 0.6662 0.5055
Ca3 0.6662 0.1662 0.4945
Ca4 0.3338 0.8338 0.4945
Ga1 0.0000 0.0000 0.0000
Ga2 0.5000 0.5000 0.0000
Si1 0.6390 0.8610 0.9388
Si2 0.3610 0.1390 0.9388
Si3 0.1390 0.6390 0.0612
Si4 0.8610 0.3610 0.0612
O1 0.0826 0.8114 0.2192
O2 0.9174 0.1886 0.2192
O3 0.1886 0.0826 0.7808
O4 0.4174 0.3114 0.7808
O5 0.8114 0.9174 0.7808
O6 0.5826 0.6886 0.7808
O7 0.3114 0.5826 0.2192
O8 0.6886 0.4174 0.2192
O9 0.0000 0.5000 0.1813
O10 0.5000 0.0000 0.8187
O11 0.6392 0.8608 0.2573
O12 0.3608 0.1392 0.2573
O13 0.1392 0.6392 0.7427
O14 0.8608 0.3608 0.7427


5.
A geometry-optimized CsLiH4S2N2O6 structure. Source: the Materials Project, functional PBE.

Values from the calculation:
Formation energy from the elements: -22.64 eV/f.u.
E (MP2020): -5.85 eV/atom

a = 5.5957 Å, b = 8.0526 Å, c = 9.9876 Å
α = 105.43°, β = 103.52°, γ = 86.66°
Element x y z (fractional)
Cs1 0.8029 0.2420 0.0850
Cs2 0.1971 0.7580 0.9150
Li1 0.6455 0.3873 0.7088
Li2 0.3545 0.6127 0.2912
H1 0.0985 0.2704 0.5045
H2 0.9015 0.7296 0.4955
H3 0.2006 0.4646 0.5124
H4 0.7994 0.5354 0.4876
H5 0.2862 0.0312 0.6455
H6 0.7138 0.9688 0.3545
H7 0.9817 0.0470 0.6404
H8 0.0183 0.9530 0.3596
S1 0.3922 0.2562 0.3837
S2 0.6078 0.7438 0.6163
S3 0.1983 0.2516 0.8148
S4 0.8017 0.7484 0.1852
N1 0.1493 0.3448 0.4456
N2 0.8507 0.6552 0.5544
N3 0.1401 0.1141 0.6533
N4 0.8599 0.8859 0.3467
O1 0.3165 0.0808 0.3000
O2 0.6835 0.9192 0.7000
O3 0.4378 0.3681 0.2967
O4 0.5622 0.6319 0.7033
O5 0.6048 0.2575 0.5045
O6 0.3952 0.7425 0.4955
O7 0.4167 0.3481 0.8194
O8 0.5833 0.6519 0.1806
O9 0.2432 0.1573 0.9255
O10 0.7568 0.8427 0.0745
O11 0.9774 0.3599 0.8167
O12 0.0226 0.6401 0.1833


6.
A geometry-optimized TlPO3 structure. Source: the Materials Project, functional PBE.

Values from the calculation:
Formation energy from the elements: -11.24 eV/f.u.
E (MP2020): -6.77 eV/atom

a = 11.0932 Å, b = 11.2607 Å, c = 16.2722 Å
α = 90.00°, β = 90.00°, γ = 90.00°
Element x y z (fractional)
Tl1 0.0008 0.9252 0.2364
Tl2 0.4494 0.6539 0.4170
Tl3 0.9992 0.4252 0.2364
Tl4 0.4151 0.1787 0.1105
Tl5 0.0008 0.5748 0.7636
Tl6 0.0506 0.3461 0.9170
Tl7 0.9151 0.1787 0.3895
Tl8 0.5008 0.9252 0.2636
Tl9 0.5008 0.5748 0.7364
Tl10 0.4494 0.8461 0.5830
Tl11 0.5849 0.8213 0.8895
Tl12 0.4992 0.0748 0.7364
Tl13 0.5849 0.6787 0.1105
Tl14 0.0849 0.6787 0.3895
Tl15 0.9494 0.8461 0.9170
Tl16 0.0849 0.8213 0.6105
Tl17 0.5506 0.3461 0.5830
Tl18 0.9494 0.6539 0.0830
Tl19 0.5506 0.1539 0.4170
Tl20 0.9151 0.3213 0.6105
Tl21 0.4151 0.3213 0.8895
Tl22 0.9992 0.0748 0.7636
Tl23 0.4992 0.4252 0.2636
Tl24 0.0506 0.1539 0.0830
P1 0.7683 0.4062 0.0811
P2 0.2317 0.5938 0.9189
P3 0.2074 0.5169 0.5776
P4 0.7317 0.5938 0.5811
P5 0.2292 0.3039 0.6861
P6 0.2926 0.0169 0.9224
P7 0.7708 0.8039 0.6861
P8 0.2317 0.9062 0.0811
P9 0.7074 0.9831 0.0776
P10 0.7292 0.1961 0.1861
P11 0.2708 0.8039 0.8139
P12 0.7292 0.3039 0.8139
P13 0.7317 0.9062 0.4189
P14 0.7708 0.6961 0.3139
P15 0.7683 0.0938 0.9189
P16 0.2683 0.4062 0.4189
P17 0.2683 0.0938 0.5811
P18 0.7926 0.4831 0.4224
P19 0.2926 0.4831 0.0776
P20 0.2292 0.1961 0.3139
P21 0.2708 0.6961 0.1861
P22 0.7074 0.5169 0.9224
P23 0.7926 0.0169 0.5776
P24 0.2074 0.9831 0.4224
O1 0.8919 0.6784 0.2741
O2 0.1019 0.6123 0.9434
O3 0.8349 0.2602 0.7648
O4 0.7042 0.1133 0.5573
O5 0.6081 0.1784 0.2259
O6 0.2958 0.8867 0.4427
O7 0.2563 0.5013 0.8538
O8 0.2563 0.9987 0.1462
O9 0.7437 0.0013 0.8538
O10 0.8169 0.9322 0.4982
O11 0.5849 0.9516 0.1107
O12 0.2437 0.4987 0.3538
O13 0.3981 0.1123 0.5566
O14 0.8919 0.8216 0.7259
O15 0.3981 0.3877 0.4434
O16 0.1651 0.7398 0.2352
O17 0.7958 0.8867 0.0573
O18 0.3919 0.6784 0.2259
O19 0.6081 0.3216 0.7741
O20 0.6019 0.8877 0.4434
O21 0.2042 0.1133 0.9427
O22 0.3349 0.2602 0.7352
O23 0.7055 0.2817 0.1068
O24 0.1019 0.8877 0.0566
O25 0.7754 0.4249 0.8595
O26 0.8169 0.5678 0.5018
O27 0.6019 0.6123 0.5566
O28 0.7958 0.6133 0.9427
O29 0.4151 0.0484 0.8893
O30 0.7563 0.5013 0.6462
O31 0.7563 0.9987 0.3538
O32 0.2246 0.5751 0.1405
O33 0.2437 0.0013 0.6462
O34 0.7246 0.9249 0.6405
O35 0.2754 0.4249 0.6405
O36 0.2055 0.2817 0.3932
O37 0.6651 0.7398 0.2648
O38 0.5849 0.5484 0.8893
O39 0.2958 0.6133 0.5573
O40 0.7437 0.4987 0.1462
O41 0.7754 0.0751 0.1405
O42 0.1651 0.7602 0.7648
O43 0.6831 0.0678 0.9982
O44 0.0849 0.5484 0.6107
O45 0.2945 0.7817 0.1068
O46 0.8981 0.3877 0.0566
O47 0.4151 0.4516 0.1107
O48 0.7945 0.7817 0.3932
O49 0.2246 0.9249 0.8595
O50 0.2945 0.7183 0.8932
O51 0.9151 0.0484 0.6107
O52 0.7246 0.5751 0.3595
O53 0.1081 0.1784 0.2741
O54 0.9151 0.4516 0.3893
O55 0.8349 0.2398 0.2352
O56 0.1081 0.3216 0.7259
O57 0.7042 0.3867 0.4427
O58 0.6831 0.4322 0.0018
O59 0.3169 0.5678 0.9982
O60 0.7055 0.2183 0.8932
O61 0.1831 0.4322 0.4982
O62 0.2055 0.2183 0.6068
O63 0.6651 0.7602 0.7352
O64 0.8981 0.1123 0.9434
O65 0.0849 0.9516 0.3893
O66 0.3349 0.2398 0.2648
O67 0.2754 0.0751 0.3595
O68 0.3919 0.8216 0.7741
O69 0.2042 0.3867 0.0573
O70 0.3169 0.9322 0.0018
O71 0.7945 0.7183 0.6068
O72 0.1831 0.0678 0.5018


7.
A geometry-optimized HoInPd2 structure. Source: the Materials Project, functional PBE.

Values from the calculation:
Formation energy from the elements: -3.33 eV/f.u.

a = 4.7987 Å, b = 4.7987 Å, c = 4.7987 Å
α = 60.00°, β = 60.00°, γ = 60.00°
Element x y z (fractional)
Ho1 0.5000 0.5000 0.5000
In1 0.0000 0.0000 0.0000
Pd1 0.2500 0.2500 0.2500
Pd2 0.7500 0.7500 0.7500


8.
A geometry-optimized Ti11O14 structure. Source: the Materials Project, functional PBE.

Values from the calculation:
Formation energy from the elements: -77.46 eV/f.u.
E (MP2020): -9.34 eV/atom

a = 5.0766 Å, b = 5.1082 Å, c = 10.6993 Å
α = 85.73°, β = 103.67°, γ = 109.12°
Element x y z (fractional)
Ti1 0.8482 0.9861 0.7189
Ti2 0.5736 0.0054 0.1448
Ti3 0.7130 0.0004 0.4259
Ti4 0.5118 0.4941 0.0158
Ti5 0.9306 0.5009 0.8669
Ti6 0.7762 0.5000 0.5557
Ti7 0.1436 0.0019 0.2856
Ti8 0.4282 0.9943 0.8504
Ti9 0.2147 0.5006 0.4315
Ti10 0.0603 0.4973 0.1384
Ti11 0.3673 0.5090 0.7054
O1 0.3887 0.7451 0.2846
O2 0.2584 0.7570 0.0025
O3 0.4592 0.2487 0.4251
O4 0.3178 0.2488 0.1455
O5 0.8245 0.7532 0.1466
O6 0.9647 0.7534 0.4253
O7 0.0959 0.7340 0.7121
O8 0.8923 0.2577 0.2863
O9 0.6734 0.7380 0.8639
O10 0.7477 0.2317 0.9989
O11 0.0329 0.2411 0.5721
O12 0.5350 0.7644 0.5667
O13 0.1892 0.2608 0.8549
O14 0.6172 0.2583 0.7120


9.
A geometry-optimized Mg6Si5 structure. Source: the Materials Project, functional PBE.

Values from the calculation:
Formation energy from the elements: 0.62 eV/f.u.
E (MP2020): -3.28 eV/atom

a = 4.2281 Å, b = 6.8606 Å, c = 14.3344 Å
α = 87.98°, β = 88.31°, γ = 89.59°
Element x y z (fractional)
Mg1 0.5773 0.3771 0.0477
Mg2 0.5476 0.8227 0.4313
Mg3 0.0898 0.2316 0.7275
Mg4 0.5636 0.9876 0.2176
Mg5 0.5565 0.4746 0.2889
Mg6 0.5956 0.5056 0.8063
Mg7 0.0633 0.9990 0.5562
Mg8 0.0382 0.5052 0.4878
Mg9 0.0690 0.6489 0.1476
Mg10 0.5878 0.0440 0.8817
Mg11 0.0901 0.6899 0.9291
Mg12 0.0771 0.0458 0.0507
Si1 0.5437 0.2227 0.4432
Si2 0.5935 0.2977 0.6099
Si3 0.0864 0.3063 0.9091
Si4 0.0613 0.2733 0.1961
Si5 0.0583 0.7682 0.3224
Si6 0.4606 0.6661 0.6109
Si7 0.1023 0.7624 0.7405
Si8 0.0540 0.1220 0.3530
Si9 0.5786 0.7902 0.0427
Si10 0.6016 0.9629 0.6963


10.
A geometry-optimized Er2Ga3Co structure. Source: the Materials Project, functional PBE.

Values from the calculation:
Formation energy from the elements: -3.46 eV/f.u.

a = 6.8687 Å, b = 8.7255 Å, c = 8.7255 Å
α = 120.00°, β = 90.00°, γ = 90.00°
Element x y z (fractional)
Er1 0.7500 0.0000 0.0000
Er2 0.2500 0.0000 0.0000
Er3 0.7500 0.4716 0.5284
Er4 0.2500 0.5284 0.4716
Er5 0.7500 0.0568 0.5284
Er6 0.2500 0.9432 0.4716
Er7 0.7500 0.4716 0.9432
Er8 0.2500 0.5284 0.0568
Ga1 0.9506 0.8274 0.1726
Ga2 0.0494 0.1726 0.8274
Ga3 0.9506 0.3451 0.1726
Ga4 0.4506 0.1726 0.8274
Ga5 0.0494 0.6549 0.8274
Ga6 0.5494 0.8274 0.1726
Ga7 0.9506 0.8274 0.6549
Ga8 0.4506 0.6549 0.8274
Ga9 0.0494 0.1726 0.3451
Ga10 0.5494 0.3451 0.1726
Ga11 0.4506 0.1726 0.3451
Ga12 0.5494 0.8274 0.6549
Co1 0.9518 0.6667 0.3333
Co2 0.0482 0.3333 0.6667
Co3 0.4518 0.3333 0.6667
Co4 0.5482 0.6667 0.3333


11.
A geometry-optimized Te2Mo2WSe2S2 structure. Source: the Materials Project, functional PBE.

Values from the calculation:
Formation energy from the elements: -5.81 eV/f.u.
E (MP2020): -6.89 eV/atom

a = 3.3461 Å, b = 3.3461 Å, c = 30.9448 Å
α = 90.00°, β = 90.00°, γ = 120.00°
Element x y z (fractional)
Te1 0.6667 0.3333 0.5171
Te2 0.6667 0.3333 0.6395
Mo1 0.3333 0.6667 0.1157
Mo2 0.3333 0.6667 0.5783
W1 0.6667 0.3333 0.3470
Se1 0.6667 0.3333 0.0618
Se2 0.6667 0.3333 0.1695
S1 0.3333 0.6667 0.3962
S2 0.3333 0.6667 0.2978


| no. | energy (eV per atom) |
| --- | --- |
| 1 | -5.58 |
| 2 | -5.96 |
| 3 | -4.75 |
| 4 | -7.00 |
| 5 | -5.60 |
| 6 | -6.36 |
| 7 | -5.26 |
| 8 | -8.96 |
| 9 | -3.31 |
| 10 | -4.80 |
| 11 | -6.78 |